Entry 1:
A plane-wave DFT calculation with PBE-GGA was carried out for a relaxed BaLa2Te5O14 crystal.

The formation energy is -2.32 eV/atom.

The structure in extended XYZ format:
```
44
Lattice="3.297 -7.346 6.230 7.315 -2.770 6.517 -4.369 3.065 12.322" Properties=species:S:1:pos:R:3 pbc="T T T"
O -3.140 2.313 12.072
O 1.490 -2.039 7.703
O -1.263 0.430 5.889
O -0.686 -2.783 16.387
O 4.522 -6.086 13.051
O 2.620 -3.960 5.765
O 2.409 -5.394 14.676
O 1.721 -0.964 12.018
O 1.212 -2.704 14.290
O 3.623 -3.090 19.303
O 2.109 -3.654 16.887
O -0.882 -0.029 10.961
O -0.448 -0.227 13.881
O 6.064 -7.821 8.620
O 4.134 -3.396 8.181
O 0.428 -2.967 10.150
O 9.383 -9.363 12.996
O 1.419 -1.429 4.809
O 7.125 -7.021 14.107
O 3.834 -1.656 10.392
O 6.929 -4.267 8.682
O 6.692 -6.824 11.188
O 4.753 -5.011 17.366
O 7.506 -7.480 19.179
O 0.179 0.770 16.449
O 4.825 -5.621 20.260
O 5.031 -4.346 10.779
O 5.816 -4.083 14.919
Te 0.871 -4.078 15.532
Te 2.657 -1.471 19.093
Te 1.311 -3.695 8.658
Te 5.135 -7.144 10.109
Te 3.436 -1.729 12.281
Te 4.932 -3.355 16.411
Te 1.108 0.094 14.960
Te 2.807 -5.321 12.787
Te 5.373 -2.972 9.536
Te 3.586 -5.579 5.975
Ba 1.473 0.148 9.419
Ba 1.648 -3.673 3.115
La 3.615 -1.763 6.291
La -0.355 -2.264 12.325
La 2.628 -5.287 18.777
La 6.598 -4.786 12.744
```

Entry 2:
A plane-wave DFT calculation with PBE-GGA was carried out for a relaxed BaLa4Ti4O15 crystal.

As for the polymorph energy (0 for the lowest one): 0.000 eV per atom. The formation energy is -3.72 eV/atom.

The structure in extended XYZ format:
```
48
Lattice="-1.108 3.443 4.311 -4.190 -1.864 -3.260 -2.647 -17.981 13.682" Properties=species:S:1:pos:R:3 pbc="T T T"
La -5.436 -15.534 11.011
La -1.987 -13.498 10.271
La -0.664 -4.507 3.430
La -3.834 -9.866 10.568
La -4.569 -9.650 6.534
La -3.246 -0.659 -0.307
La -4.112 -6.544 4.170
La -2.510 -0.875 3.727
O -1.559 -0.373 1.435
O -3.964 0.845 2.570
O -5.481 -7.304 6.148
O -2.810 -7.961 5.801
O -4.121 -2.094 5.895
O -4.960 -12.593 10.848
O -4.382 -1.920 2.488
O -2.208 -9.063 8.801
O -1.284 -2.556 5.837
O -6.027 -13.372 13.217
O -4.928 -10.854 13.138
O -1.350 1.375 3.772
O -1.911 -3.050 1.480
O -3.556 -12.714 14.559
O -2.827 -3.547 7.836
O -1.737 -5.266 5.788
O -6.618 -16.212 13.134
O -3.375 -11.605 8.867
O -4.084 -17.105 12.450
O -4.580 -4.768 5.892
O -5.109 -8.700 8.718
O -4.425 -3.670 0.179
O -6.236 -11.146 8.916
O -3.531 -14.466 12.263
O -3.526 -7.362 10.782
O -2.471 -11.971 12.147
O -6.285 -17.909 10.968
O -4.726 -8.989 4.080
O -5.078 -12.861 6.887
O -2.983 -3.797 3.877
Ti -2.404 -16.329 12.425
Ti -5.010 -12.641 8.810
Ti -1.080 -7.339 5.584
Ti -0.247 -1.680 1.278
Ti -2.932 -3.739 5.906
Ti -3.686 -3.651 1.969
Ti -4.255 -12.729 12.747
Ti -1.571 -10.670 8.119
Ba -4.675 -15.578 14.915
Ba -3.351 -6.588 8.074
```

Entry 3:
A plane-wave DFT calculation with PBE-GGA was carried out for a relaxed BaLa4Ti4O15 crystal.

As for the polymorph energy (0 for the lowest one): 0.012 eV per atom. The formation energy is -3.70 eV/atom.

The structure in extended XYZ format:
```
48
Lattice="0.282 2.116 5.209 -3.915 1.867 -3.588 -14.026 -15.696 7.137" Properties=species:S:1:pos:R:3 pbc="T T T"
O -12.056 -8.476 2.438
O -7.312 -2.686 4.173
O -8.052 -7.760 5.346
O -0.919 0.982 3.978
O -12.190 -11.552 9.698
O -12.398 -10.876 3.631
O -10.117 -5.825 5.544
O -16.740 -12.695 4.780
O -5.250 -2.013 2.562
O -12.770 -12.239 7.048
O -8.425 -6.326 7.766
O -9.607 -3.953 3.411
O -12.409 -9.700 6.196
O -4.889 0.526 1.710
O -14.292 -10.286 8.352
O -3.066 2.310 2.682
O -7.542 -5.888 3.213
O -10.347 -9.027 4.584
O -3.360 -2.823 4.494
O -12.361 -7.103 4.858
O -5.298 -4.610 3.900
O -1.570 0.341 1.291
O -10.384 -10.757 7.852
O -9.234 -5.386 0.992
O -14.593 -14.023 6.075
O -5.603 -3.237 6.319
O -5.543 -2.953 -0.082
O -16.089 -12.054 7.466
O -5.469 -0.161 -0.940
O -3.367 -1.427 0.406
Ti -8.258 -9.241 4.202
Ti -12.300 -8.999 4.322
Ti -1.245 -1.393 0.633
Ti -5.768 -6.455 2.935
Ti -12.372 -10.562 8.003
Ti -12.781 -14.303 6.503
Ti -5.359 -2.714 4.435
Ti -5.287 -1.151 0.754
La -3.070 1.331 -0.374
La -10.083 -6.518 3.194
La -7.544 -3.676 1.902
La -14.589 -13.043 9.132
La -14.557 -11.524 5.471
La -3.102 -0.189 3.287
La -7.576 -5.195 5.563
La -10.115 -8.037 6.855
Ba -10.520 -11.772 5.353
Ba -3.507 -3.924 1.784
```

Entry 4:
A plane-wave DFT calculation with PBE-GGA was carried out for a relaxed Ba2LaUO6 crystal.

The formation energy is -3.57 eV/atom.

The structure in extended XYZ format:
```
10
Lattice="3.984 -4.947 0.621 -2.182 -5.960 -0.678 1.643 -3.437 -5.121" Properties=species:S:1:pos:R:3 pbc="T T T"
O 1.681 -5.216 -3.915
O 3.767 -7.807 -3.590
O 0.539 -8.337 -4.270
O 2.907 -6.007 -0.908
O 1.764 -9.128 -1.263
O -0.322 -6.537 -1.588
La 1.723 -7.172 -2.589
U 0.000 0.000 0.000
Ba 2.584 -10.758 -3.884
Ba 0.861 -3.586 -1.295
```